No. 1
Below is Ca3AsBr3 after structural relaxation, with properties calculated at the r2SCAN level.

```
Ca3AsBr3
1.0
5.9325 0.0000 0.0000
0.0000 5.9325 0.0000
0.0000 0.0000 5.9325
Ca As Br
3 1 3
Cartesian
0.0000 0.0000 2.9662
0.0000 2.9662 0.0000
2.9662 0.0000 0.0000
0.0000 0.0000 0.0000
0.0000 2.9662 2.9662
2.9662 0.0000 2.9662
2.9662 2.9662 0.0000
```

Output
* formation enthalpy at 0 K: -2.04 eV/atom
* space-group type: Pm-3m, No. 221

***

No. 2
Below is HoBRh3 after structural relaxation, with properties calculated at the r2SCAN level.

```
HoBRh3
1.0
4.1659 0.0000 0.0000
0.0000 4.1659 0.0000
0.0000 0.0000 4.1659
Ho B Rh
1 1 3
Cartesian
0.0000 0.0000 0.0000
2.0829 2.0829 2.0829
0.0000 2.0829 2.0829
2.0829 0.0000 2.0829
2.0829 2.0829 0.0000
```

Output
* formation enthalpy at 0 K: -0.87 eV/atom
* space-group type: Pm-3m, No. 221

***

No. 3
Below is K2TeBr6 after structural relaxation, with properties calculated at the r2SCAN level.

```
K2TeBr6
1.0
7.5218 0.0000 0.0000
0.0000 7.9205 0.0000
-7.4380 0.0000 10.5371
K Te Br
4 2 12
Cartesian
-0.1146 0.6021 2.6247
-3.8336 3.3581 7.8932
3.9174 4.5623 2.6439
0.1984 7.3184 7.9124
3.7609 0.0000 0.0000
0.0419 3.9602 5.2685
-5.8994 1.5130 10.0813
-2.1804 2.4472 4.8128
-5.1028 5.6322 10.1279
-1.3838 6.2485 4.8593
-3.0941 0.0962 7.8827
0.6249 3.8640 2.6142
-0.5411 4.0565 7.9229
3.1779 7.8243 2.6543
1.4676 1.6720 5.6777
5.1866 2.2883 0.4092
2.2642 5.4732 5.7243
5.9832 6.4075 0.4557
```

Output
* formation enthalpy at 0 K: -1.16 eV/atom
* space-group type: P2_1/c, No. 14

***

No. 4
Below is PuClO after structural relaxation, with properties calculated at the r2SCAN level.

```
PuClO
1.0
3.9700 0.0000 0.0000
0.0000 3.9700 0.0000
0.0000 0.0000 6.8605
Pu Cl O
2 2 2
Cartesian
0.9925 0.9925 1.2315
2.9775 2.9775 5.6290
0.9925 0.9925 4.3218
2.9775 2.9775 2.5387
0.9925 2.9775 0.0000
2.9775 0.9925 0.0000
```

Output
* formation enthalpy at 0 K: -3.13 eV/atom
* space-group type: P4/nmm, No. 129

***

No. 5
Below is Zr5Te6 after structural relaxation, with properties calculated at the r2SCAN level.

```
Zr5Te6
1.0
11.8222 0.0000 0.0000
-5.9111 10.2383 0.0000
0.0000 0.0000 7.1479
Zr Te
15 18
Cartesian
0.0000 0.0000 0.0000
-1.7581 3.0452 0.0000
-2.1496 3.7233 3.5740
-3.7615 6.5151 3.5740
-4.1529 7.1931 0.0000
3.5163 0.0000 0.0000
1.7581 3.0452 0.0000
0.0000 6.8255 3.6473
4.2993 0.0000 3.5740
2.1496 3.7233 3.5740
7.5229 0.0000 3.5740
3.7615 6.5151 3.5740
5.9111 3.4128 3.5006
8.3059 0.0000 0.0000
4.1529 7.1931 0.0000
0.0000 2.1919 5.0863
-4.0129 9.1424 5.0863
-1.9149 5.7200 5.6461
1.8983 1.0960 2.0616
0.0000 4.5858 1.7605
-1.9397 7.9454 1.7605
1.9149 5.7200 5.6461
0.0000 9.0367 5.6461
3.9714 2.2929 5.3874
1.9397 7.9454 1.7605
5.9111 1.2016 1.5018
3.9962 4.5184 1.5018
7.8508 2.2929 5.3874
5.9111 5.6525 5.3874
4.0128 9.1424 5.0863
7.8260 4.5184 1.5018
9.9239 1.0960 2.0616
5.9111 8.0464 2.0616
```

Output
* formation enthalpy at 0 K: -1.04 eV/atom
* space-group type: P-3m1, No. 164

***

No. 6
Below is K4Rb2Co2O5 after structural relaxation, with properties calculated at the r2SCAN level.

```
K4Rb2Co2O5
1.0
6.7019 0.0000 0.0000
0.0000 6.7019 0.0000
0.0000 0.0000 11.6754
K Rb Co O
8 4 4 10
Cartesian
0.0000 0.0000 2.5771
0.0000 0.0000 9.0983
0.0000 3.3510 2.9189
0.0000 3.3510 8.7566
3.3510 0.0000 2.9189
3.3510 0.0000 8.7566
3.3510 3.3510 3.2606
3.3510 3.3510 8.4148
1.2601 1.2601 5.8377
2.0909 4.6110 0.0000
4.6110 2.0909 0.0000
5.4419 5.4419 5.8377
1.3787 1.3787 0.0000
1.9722 4.7297 5.8377
4.7297 1.9722 5.8377
5.3232 5.3232 0.0000
0.0000 0.0000 0.0000
1.4632 5.2387 4.1891
1.4632 5.2387 7.4863
1.8877 1.8877 1.6486
1.8877 1.8877 10.0269
3.3510 3.3510 5.8377
4.8142 4.8142 1.6486
4.8142 4.8142 10.0269
5.2387 1.4632 4.1891
5.2387 1.4632 7.4863
```

Output
* formation enthalpy at 0 K: -1.34 eV/atom
* space-group type: P4_2/mnm, No. 136

***

No. 7
Below is ErCdAu2 after structural relaxation, with properties calculated at the r2SCAN level.

```
ErCdAu2
1.0
0.0000 3.4376 3.4376
3.4376 0.0000 3.4376
3.4376 3.4376 0.0000
Er Cd Au
1 1 2
Cartesian
0.0000 0.0000 0.0000
3.4376 3.4376 3.4376
1.7188 1.7188 1.7188
5.1564 5.1564 5.1564
```

Output
* formation enthalpy at 0 K: -0.73 eV/atom
* space-group type: Fm-3m, No. 225

***

No. 8
Below is GdBi3 after structural relaxation, with properties calculated at the r2SCAN level.

```
GdBi3
1.0
6.8638 0.0000 0.0000
-3.4319 5.9442 0.0000
0.0000 0.0000 5.9541
Gd Bi
2 6
Cartesian
0.0000 3.9628 1.4885
3.4319 1.9814 4.4656
0.0000 2.0840 4.4656
-1.6271 4.9022 4.4656
1.8048 1.0420 1.4885
1.6271 4.9022 4.4656
5.0590 1.0420 1.4885
3.4319 3.8602 1.4885
```

Output
* formation enthalpy at 0 K: -0.36 eV/atom
* space-group type: P6_3/mmc, No. 194

***

No. 9
Below is K4H6C2O9 after structural relaxation, with properties calculated at the r2SCAN level.

```
K4H6C2O9
1.0
5.9347 -6.7673 0.0000
5.9347 6.7673 0.0000
-3.5951 0.0000 6.1044
K H C O
8 12 4 18
Cartesian
3.2384 5.2078 4.5783
5.0359 4.2679 1.5261
2.5730 1.9929 2.7997
7.4989 1.9929 0.2525
0.7754 -1.9929 5.8519
5.7013 -1.9929 3.3047
3.2384 -4.2679 4.5783
5.0359 -5.2078 1.5261
2.3317 0.9731 0.2951
-0.1858 0.3814 3.8344
1.6117 -0.3814 0.7822
0.5341 -0.9731 3.3473
4.5571 0.6781 0.9397
2.7595 -0.6781 3.9919
5.5148 0.6781 2.1125
3.7172 -0.6781 5.1647
7.7402 0.9731 2.7571
6.6626 0.3814 5.3222
8.4601 -0.3814 2.2700
5.9426 -0.9731 5.8093
0.5972 2.3504 5.1832
2.3948 -2.3504 2.1310
5.8795 2.3504 3.9734
7.6771 -2.3504 0.9212
0.0096 2.0420 4.0638
1.4518 0.5532 0.4971
1.6489 3.0821 5.1791
3.6967 1.9173 0.2048
-0.3457 -0.5532 3.5493
1.8072 -2.0420 1.0116
4.8278 3.0821 3.9775
1.8992 -1.9173 3.2570
5.0359 0.0415 1.5261
3.2384 -0.0415 4.5783
6.3751 1.9173 2.8474
3.4465 -3.0821 2.1269
6.4671 2.0420 5.0928
8.6200 0.5532 2.5551
4.5776 -1.9173 5.8996
6.6254 -3.0821 0.9253
6.8224 -0.5532 5.6073
8.2647 -2.0420 2.0406
```

Output
* formation enthalpy at 0 K: -1.55 eV/atom
* space-group type: C2/c, No. 15

***

No. 10
Below is YbTl after structural relaxation, with properties calculated at the r2SCAN level.

```
YbTl
1.0
3.7049 0.0000 0.0000
0.0000 3.7049 0.0000
0.0000 0.0000 3.7049
Yb Tl
1 1
Cartesian
0.0000 0.0000 0.0000
1.8525 1.8525 1.8525
```

Output
* formation enthalpy at 0 K: -0.37 eV/atom
* space-group type: Pm-3m, No. 221

***

No. 11
Below is ThHg3 after structural relaxation, with properties calculated at the r2SCAN level.

```
ThHg3
1.0
6.8153 0.0000 0.0000
-3.4076 5.9022 0.0000
0.0000 0.0000 4.9660
Th Hg
2 6
Cartesian
0.0000 3.9348 1.2415
3.4076 1.9674 3.7245
0.0000 1.9041 3.7245
-1.7587 4.9502 3.7245
1.6490 0.9520 1.2415
1.7587 4.9502 3.7245
5.1663 0.9520 1.2415
3.4076 3.9981 1.2415
```

Output
* formation enthalpy at 0 K: -0.30 eV/atom
* space-group type: P6_3/mmc, No. 194

***

No. 12
Below is Cs2MgCl4 after structural relaxation, with properties calculated at the r2SCAN level.

```
Cs2MgCl4
1.0
9.8340 0.0000 0.0000
0.0000 7.4736 0.0000
0.0000 0.0000 13.3211
Cs Mg Cl
8 4 16
Cartesian
0.1845 1.8684 2.3876
1.3162 5.6052 5.5171
3.6008 1.8684 12.1777
4.7325 5.6052 9.0481
5.1015 1.8684 4.2730
6.2332 5.6052 1.1434
8.5178 1.8684 7.8039
9.6495 5.6052 10.9335
2.2517 5.6052 1.0275
2.6653 1.8684 7.6880
7.1687 5.6052 5.6331
7.5823 1.8684 12.2936
0.0651 1.8684 12.1231
1.7463 3.7503 8.6869
1.7463 7.4601 8.6869
1.8272 1.8684 5.5083
3.0898 5.6052 12.1688
3.1707 0.0135 2.0263
3.1707 3.7233 2.0263
4.8519 5.6052 5.4626
4.9821 1.8684 7.8585
6.6633 3.7503 11.2947
6.6633 7.4601 11.2947
6.7442 1.8684 1.1522
8.0069 5.6052 7.8128
8.0877 0.0135 4.6342
8.0877 3.7233 4.6342
9.7689 5.6052 1.1980
```

Output
* formation enthalpy at 0 K: -2.18 eV/atom
* space-group type: Pnma, No. 62

***

No. 13
Below is KReO4 after structural relaxation, with properties calculated at the r2SCAN level.

```
KReO4
1.0
-2.8421 2.8421 6.2612
2.8421 -2.8421 6.2612
2.8421 2.8421 -6.2612
K Re O
2 2 8
Cartesian
0.0000 1.4211 1.5653
2.8421 1.4211 4.6959
2.8421 1.4211 -1.5653
0.0000 1.4211 7.8265
4.0830 0.7031 -0.5729
3.5601 -0.1802 2.5577
0.7180 -0.1802 3.7035
1.6012 2.1390 -0.5729
1.2409 0.7031 6.8341
2.1241 3.0223 2.5577
-0.7180 3.0223 3.7035
-1.2409 2.1390 6.8341
```

Output
* formation enthalpy at 0 K: -1.98 eV/atom
* space-group type: I4_1/a, No. 88

***

No. 14
Below is TeS3 after structural relaxation, with properties calculated at the r2SCAN level.

```
TeS3
1.0
3.6747 -6.3740 0.0000
3.6747 6.3740 0.0000
0.0000 0.0000 3.6857
Te S
2 6
Cartesian
3.6747 4.2506 2.7643
3.6747 -4.2506 0.9214
1.6825 1.1541 2.7643
1.6825 -1.1541 0.9214
3.6747 2.3032 0.9214
3.6747 -2.3032 2.7643
5.6669 1.1541 2.7643
5.6669 -1.1541 0.9214
```

Output
* formation enthalpy at 0 K: 0.61 eV/atom
* space-group type: Cmcm, No. 63

***

No. 15
Below is ScI3 after structural relaxation, with properties calculated at the r2SCAN level.

```
ScI3
1.0
10.8119 0.0000 0.0000
-5.4060 9.3634 0.0000
0.0000 0.0000 3.8134
Sc I
2 6
Cartesian
0.0000 6.2423 0.9533
5.4060 3.1211 2.8600
0.0000 4.0282 2.8600
-1.9174 7.3493 2.8600
3.4886 2.0141 0.9533
1.9174 7.3493 2.8600
7.3234 2.0141 0.9533
5.4060 5.3352 0.9533
```

Output
* formation enthalpy at 0 K: -1.33 eV/atom
* space-group type: P6_3/mmc, No. 194

***

No. 16
Below is NdGa3Pd after structural relaxation, with properties calculated at the r2SCAN level.

```
NdGa3Pd
1.0
-2.1026 2.1026 5.3649
2.1026 -2.1026 5.3649
2.1026 2.1026 -5.3649
Nd Ga Pd
1 3 1
Cartesian
0.0000 0.0000 0.0000
0.0000 0.0000 4.1256
0.0000 0.0000 6.6042
0.0000 2.1026 2.6825
2.1026 0.0000 2.6825
```

Output
* formation enthalpy at 0 K: -0.76 eV/atom
* space-group type: I-4m2, No. 119

***

No. 17
Below is CoCl2 after structural relaxation, with properties calculated at the r2SCAN level.

```
CoCl2
1.0
1.7740 1.0242 5.9251
-1.7740 1.0242 5.9251
0.0000 -2.0484 5.9251
Co Cl
1 2
Cartesian
0.0000 0.0000 0.0000
0.0000 0.0000 4.6070
0.0000 0.0000 13.1683
```

Output
* formation enthalpy at 0 K: -0.94 eV/atom
* space-group type: R-3m, No. 166

***

No. 18
Below is AuBr3 after structural relaxation, with properties calculated at the r2SCAN level.

```
AuBr3
1.0
6.8911 0.0000 0.0000
0.0000 20.5693 0.0000
-4.1230 0.0000 7.2814
Au Br
8 24
Cartesian
-0.3203 4.3310 2.0707
-2.3819 5.9536 5.7114
0.5452 0.7871 1.8876
-1.5163 9.4975 5.5282
4.2843 11.0717 1.7531
2.2228 19.7821 5.3938
5.1499 14.6157 1.5699
3.0884 16.2382 5.2106
-2.7871 11.5478 5.3112
-0.7256 19.3061 1.6705
-0.5221 12.4463 1.7198
-2.5836 18.4076 5.3605
-1.6803 15.0748 5.1704
0.3812 15.7791 1.5297
-1.1225 3.8748 5.7472
0.9391 6.4098 2.1065
1.7630 2.9640 2.1500
-0.2985 7.3206 5.7907
0.1261 0.4295 5.4318
2.1876 9.8551 1.7911
0.5804 10.7141 5.4903
2.6419 20.1398 1.8496
3.0665 13.2487 1.4907
1.0050 17.6052 5.1314
1.8290 14.1594 5.1749
3.8905 16.6945 1.5342
2.3868 4.7901 5.7517
4.4483 5.4945 2.1110
5.3516 2.1616 1.9209
3.2901 8.1230 5.5616
3.4936 1.2632 5.6108
5.5552 9.0215 1.9702
```

Output
* formation enthalpy at 0 K: -0.21 eV/atom
* space-group type: P2_1/c, No. 14

***

The final energy results, record by record, are as follows: -89.9; -117.0; -127.5; -107.9; -277.7; -125.7; -158.1; -220.4; -151.1; -90.5; -222.8; -94.2; -94.2; -47.1; -90.4; -90.5; -28.4; -91.2 eV per formula unit.